# 1
First-principles (PBE+U) data for Li3FeCo3O8 after structural relaxation, as listed in the Materials Project database.

crystal system	monoclinic
excess energy over the best structure of this formula in the dataset	0.0000	eV/atom

Lattice parameters (Å, degrees): 5.874 5.874 5.930 119.75 90.59 59.37
Fractional coordinates of all 15 atoms:
Co (0.000, 0.500, 0.000)
Co (0.500, 0.000, 0.000)
Co (0.500, 0.500, 0.000)
Li (0.000, 0.000, 0.500)
Li (0.500, 0.000, 0.500)
Li (0.500, 0.500, 0.500)
O (0.268, 0.960, 0.219)
O (0.259, 0.513, 0.781)
O (0.246, 0.023, 0.777)
O (0.741, 0.487, 0.219)
O (0.732, 0.040, 0.781)
O (0.277, 0.487, 0.211)
O (0.723, 0.513, 0.789)
O (0.754, 0.977, 0.223)
Fe (0.000, 0.000, 0.000)

# 2
First-principles (PBE+U) data for Li4Fe3CoO8 after structural relaxation, as listed in the Materials Project database.

crystal system	triclinic
excess energy over the best structure of this formula in the dataset	0.0629	eV/atom

Lattice parameters (Å, degrees): 5.096 5.595 6.497 90.25 90.16 90.26
Fractional coordinates of all 16 atoms:
Fe (0.998, 0.584, 0.374)
Fe (0.500, 0.418, 0.628)
Fe (0.994, 0.082, 0.124)
O (0.891, 0.410, 0.134)
O (0.891, 0.910, 0.364)
O (0.396, 0.593, 0.869)
O (0.868, 0.924, 0.882)
O (0.375, 0.573, 0.386)
O (0.371, 0.073, 0.111)
O (0.876, 0.426, 0.616)
O (0.390, 0.090, 0.640)
Co (0.496, 0.916, 0.872)
Li (0.497, 0.417, 0.124)
Li (0.996, 0.584, 0.877)
Li (0.495, 0.917, 0.375)
Li (0.994, 0.081, 0.625)

# 3
First-principles (PBE+U) data for Li2FeCo2O6 after structural relaxation, as listed in the Materials Project database.

crystal system	triclinic
excess energy over the best structure of this formula in the dataset	0.0970	eV/atom

Lattice parameters (Å, degrees): 5.247 10.208 5.154 90.14 57.72 90.22
Fractional coordinates of all 22 atoms:
Fe (0.994, 0.002, 0.015)
Fe (0.504, 0.502, 0.987)
Li (0.861, 0.249, 0.500)
Li (0.139, 0.751, 0.500)
Li (0.368, 0.252, 0.488)
Li (0.636, 0.749, 0.506)
O (0.861, 0.403, 0.961)
O (0.038, 0.103, 0.643)
O (0.161, 0.595, 0.988)
O (0.536, 0.389, 0.637)
O (0.465, 0.605, 0.359)
O (0.321, 0.894, 0.653)
O (0.339, 0.092, 0.011)
O (0.674, 0.114, 0.351)
O (0.827, 0.613, 0.651)
O (0.640, 0.906, 0.040)
O (0.963, 0.890, 0.363)
O (0.178, 0.394, 0.347)
Co (0.164, 0.499, 0.665)
Co (0.660, 0.001, 0.671)
Co (0.334, 0.998, 0.337)
Co (0.840, 0.500, 0.328)

# 4
First-principles (PBE+U) data for Li8Fe3Co7O20 after structural relaxation, as listed in the Materials Project database.

crystal system	monoclinic

Lattice parameters (Å, degrees): 20.508 2.876 5.920 90.00 83.15 90.00
Fractional coordinates of all 38 atoms:
O (0.095, 0.000, 0.486)
O (0.700, 0.000, 0.690)
O (0.808, 0.500, 0.343)
O (0.498, 0.000, 0.274)
O (0.394, 0.500, 0.059)
O (0.291, 0.000, 0.878)
O (0.005, 0.500, 0.725)
O (0.999, 0.500, 0.281)
O (0.701, 0.000, 0.109)
O (0.401, 0.500, 0.537)
O (0.195, 0.500, 0.694)
O (0.593, 0.500, 0.456)
O (0.105, 0.000, 0.923)
O (0.901, 0.000, 0.074)
O (0.607, 0.500, 0.928)
O (0.203, 0.500, 0.109)
O (0.300, 0.000, 0.316)
O (0.906, 0.000, 0.522)
O (0.795, 0.500, 0.872)
O (0.501, 0.000, 0.724)
Fe (0.602, 0.000, 0.681)
Fe (0.398, 0.000, 0.298)
Fe (0.800, 0.000, 0.118)
Co (0.297, 0.500, 0.097)
Co (0.002, 0.000, 0.504)
Co (0.904, 0.500, 0.302)
Co (0.701, 0.500, 0.900)
Co (0.198, 0.000, 0.902)
Co (0.498, 0.500, 0.499)
Co (0.101, 0.500, 0.701)
Li (0.398, 0.000, 0.795)
Li (0.289, 0.500, 0.563)
Li (0.603, 0.000, 0.211)
Li (0.903, 0.500, 0.795)
Li (0.797, 0.000, 0.589)
Li (0.500, 0.500, 0.999)
Li (0.107, 0.500, 0.240)
Li (0.002, 0.000, 0.006)

# 5
First-principles (PBE+U) data for Li2FeCoO4 after structural relaxation, as listed in the Materials Project database.

crystal system	trigonal
excess energy over the best structure of this formula in the dataset	0.0658	eV/atom

Lattice parameters (Å, degrees): 9.605 9.605 9.605 17.21 17.21 17.21
Fractional coordinates of all 8 atoms:
O (0.629, 0.629, 0.629)
O (0.869, 0.869, 0.869)
O (0.131, 0.131, 0.131)
O (0.371, 0.371, 0.371)
Li (0.249, 0.249, 0.249)
Li (0.751, 0.751, 0.751)
Fe (0.000, 0.000, 0.000)
Co (0.500, 0.500, 0.500)

# 6
First-principles (PBE+U) data for Li5Fe2Co3O10 after structural relaxation, as listed in the Materials Project database.

crystal system	triclinic
excess energy over the best structure of this formula in the dataset	0.0774	eV/atom

Lattice parameters (Å, degrees): 5.157 5.166 7.782 103.92 108.45 99.06
Fractional coordinates of all 20 atoms:
O (0.314, 0.143, 0.548)
O (0.092, 0.053, 0.860)
O (0.514, 0.774, 0.770)
O (0.103, 0.542, 0.333)
O (0.712, 0.342, 0.950)
O (0.686, 0.857, 0.452)
O (0.486, 0.226, 0.230)
O (0.897, 0.458, 0.667)
O (0.908, 0.947, 0.140)
O (0.288, 0.658, 0.050)
Co (0.500, 0.000, 0.000)
Co (0.899, 0.693, 0.890)
Co (0.101, 0.307, 0.110)
Fe (0.308, 0.901, 0.308)
Fe (0.692, 0.099, 0.692)
Li (0.080, 0.791, 0.587)
Li (0.500, 0.500, 0.500)
Li (0.704, 0.601, 0.212)
Li (0.920, 0.209, 0.413)
Li (0.296, 0.399, 0.788)

# 7
First-principles (PBE+U) data for Li4FeCo3O8 after structural relaxation, as listed in the Materials Project database.

crystal system	trigonal
excess energy over the best structure of this formula in the dataset	0.0261	eV/atom

Lattice parameters (Å, degrees): 5.865 5.865 5.865 59.08 59.08 59.08
Fractional coordinates of all 16 atoms:
Li (0.000, 0.000, 0.500)
Li (0.500, 0.500, 0.500)
Li (0.000, 0.500, 0.000)
Li (0.500, 0.000, 0.000)
Co (0.000, 0.500, 0.500)
Co (0.500, 0.000, 0.500)
Co (0.500, 0.500, 0.000)
O (0.257, 0.257, 0.257)
O (0.239, 0.744, 0.239)
O (0.761, 0.256, 0.761)
O (0.743, 0.743, 0.743)
O (0.256, 0.761, 0.761)
O (0.744, 0.239, 0.239)
O (0.239, 0.239, 0.744)
O (0.761, 0.761, 0.256)
Fe (0.000, 0.000, 0.000)

# 8
First-principles (PBE+U) data for Li3Fe4CoO8 after structural relaxation, as listed in the Materials Project database.

crystal system	monoclinic

Lattice parameters (Å, degrees): 6.018 6.018 5.997 60.23 60.23 59.73
Fractional coordinates of all 16 atoms:
O (0.742, 0.742, 0.267)
O (0.746, 0.746, 0.735)
O (0.254, 0.254, 0.265)
O (0.258, 0.258, 0.733)
O (0.736, 0.248, 0.264)
O (0.752, 0.264, 0.736)
O (0.248, 0.736, 0.264)
O (0.264, 0.752, 0.736)
Co (0.500, 0.500, 0.000)
Li (0.500, 0.000, 0.000)
Li (0.000, 0.000, 0.500)
Li (0.000, 0.500, 0.000)
Fe (0.000, 0.500, 0.500)
Fe (0.500, 0.500, 0.500)
Fe (0.500, 0.000, 0.500)
Fe (0.000, 0.000, 0.000)

# 9
First-principles (PBE+U) data for Li5Fe2Co3O10 after structural relaxation, as listed in the Materials Project database.

crystal system	monoclinic
excess energy over the best structure of this formula in the dataset	0.0000	eV/atom

Lattice parameters (Å, degrees): 2.874 5.046 23.547 85.59 90.00 90.00
Fractional coordinates of all 40 atoms:
Li (0.000, 0.998, 0.998)
Li (0.000, 0.802, 0.601)
Li (0.500, 0.400, 0.300)
Li (0.000, 0.400, 0.800)
Li (0.500, 0.800, 0.099)
Li (0.500, 0.199, 0.899)
Li (0.500, 0.001, 0.501)
Li (0.000, 0.600, 0.200)
Li (0.500, 0.600, 0.701)
Li (0.000, 0.201, 0.401)
O (0.500, 0.621, 0.550)
O (0.000, 0.383, 0.950)
O (0.000, 0.821, 0.450)
O (0.000, 0.175, 0.554)
O (0.500, 0.440, 0.147)
O (0.500, 0.220, 0.748)
O (0.500, 0.761, 0.252)
O (0.000, 0.637, 0.043)
O (0.000, 0.020, 0.847)
O (0.500, 0.821, 0.945)
O (0.500, 0.028, 0.354)
O (0.500, 0.980, 0.653)
O (0.000, 0.964, 0.149)
O (0.000, 0.419, 0.649)
O (0.000, 0.236, 0.250)
O (0.500, 0.172, 0.045)
O (0.500, 0.378, 0.454)
O (0.500, 0.580, 0.851)
O (0.000, 0.781, 0.752)
O (0.000, 0.565, 0.357)
Fe (0.000, 0.894, 0.304)
Fe (0.500, 0.100, 0.200)
Fe (0.000, 0.499, 0.502)
Fe (0.000, 0.306, 0.095)
Co (0.500, 0.900, 0.800)
Co (0.000, 0.100, 0.701)
Co (0.500, 0.696, 0.403)
Co (0.000, 0.701, 0.898)
Co (0.500, 0.298, 0.602)
Co (0.500, 0.505, 0.996)

# 10
First-principles (PBE+U) data for Li2FeCo2O6 after structural relaxation, as listed in the Materials Project database.

crystal system	orthorhombic
excess energy over the best structure of this formula in the dataset	0.0260	eV/atom

Lattice parameters (Å, degrees): 4.960 9.991 4.927 90.01 59.79 90.00
Fractional coordinates of all 22 atoms:
O (0.339, 0.097, 0.995)
O (0.159, 0.397, 0.348)
O (0.167, 0.597, 0.995)
O (0.492, 0.603, 0.348)
O (0.992, 0.897, 0.349)
O (0.667, 0.903, 0.995)
O (0.343, 0.897, 0.656)
O (0.839, 0.403, 0.994)
O (0.001, 0.103, 0.656)
O (0.501, 0.397, 0.656)
O (0.659, 0.103, 0.348)
O (0.843, 0.603, 0.656)
Co (0.835, 0.500, 0.330)
Co (0.335, 0.000, 0.330)
Co (0.664, 0.000, 0.672)
Co (0.164, 0.500, 0.672)
Li (0.664, 0.749, 0.500)
Li (0.836, 0.251, 0.500)
Li (0.164, 0.751, 0.500)
Li (0.336, 0.249, 0.500)
Fe (0.000, 0.000, 0.999)
Fe (0.500, 0.500, 0.999)

# 11
First-principles (PBE+U) data for Li2FeCoO4 after structural relaxation, as listed in the Materials Project database.

crystal system	tetragonal
excess energy over the best structure of this formula in the dataset	0.0107	eV/atom

Lattice parameters (Å, degrees): 5.186 5.186 5.186 133.67 133.67 67.60
Fractional coordinates of all 8 atoms:
O (0.765, 0.765, 0.000)
O (0.235, 0.235, 0.000)
O (0.523, 0.023, 0.500)
O (0.977, 0.477, 0.500)
Fe (0.000, 0.000, 0.000)
Li (0.250, 0.750, 0.500)
Li (0.500, 0.500, 0.000)
Co (0.750, 0.250, 0.500)

# 12
First-principles (PBE+U) data for Li3Fe5Co2O12 after structural relaxation, as listed in the Materials Project database.

crystal system	monoclinic

Lattice parameters (Å, degrees): 5.146 5.146 9.834 84.77 84.77 121.20
Fractional coordinates of all 22 atoms:
Li (0.079, 0.921, 0.500)
Li (0.673, 0.850, 0.741)
Li (0.150, 0.327, 0.259)
O (0.520, 0.719, 0.111)
O (0.392, 0.860, 0.617)
O (0.961, 0.774, 0.887)
O (0.727, 0.547, 0.619)
O (0.226, 0.039, 0.113)
O (0.281, 0.480, 0.889)
O (0.032, 0.234, 0.623)
O (0.140, 0.608, 0.383)
O (0.879, 0.370, 0.112)
O (0.453, 0.273, 0.381)
O (0.630, 0.121, 0.888)
O (0.766, 0.968, 0.377)
Co (0.746, 0.254, 0.500)
Co (0.248, 0.752, 0.000)
Fe (0.474, 0.987, 0.265)
Fe (0.432, 0.568, 0.500)
Fe (0.584, 0.416, 0.000)
Fe (0.013, 0.526, 0.735)
Fe (0.921, 0.079, 0.000)

| no. | formation energy (meV/atom) |
| --- | --- |
| 1 | -1642 |
| 2 | -1822 |
| 3 | -1522 |
| 4 | -1702 |
| 5 | -1708 |
| 6 | -1732 |
| 7 | -1654 |
| 8 | -1781 |
| 9 | -1809 |
| 10 | -1593 |
| 11 | -1763 |
| 12 | -1637 |